Entry 1:
# TlB6H6, optimized geometry, DFT GGA-PBE
# Crystal system   cubic
# MP2020-corrected energy   -66.8 eV/f.u.
data_TlB6H6
_chemical_formula_sum 'Tl8 B48 H48'
_cell_length_a 10.8500
_cell_length_b 10.8500
_cell_length_c 10.8500
_cell_angle_alpha 90.00
_cell_angle_beta 90.00
_cell_angle_gamma 90.00
_space_group_name_H-M_alt 'F m -3'
_space_group_IT_number 202
_space_group_name_Hall '-F 2 2 3'
loop_
_atom_site_label
_atom_site_type_symbol
_atom_site_fract_x
_atom_site_fract_y
_atom_site_fract_z
Tl1 Tl 0.2500 0.2500 0.2500
B1 B 0.0000 0.0817 0.1328
H1 H 0.0000 0.1398 0.2277


Entry 2:
# TmBH4, optimized geometry, DFT GGA-PBE
# Crystal system   monoclinic
# MP2020-corrected energy   -26.3 eV/f.u.
data_TmBH4
_chemical_formula_sum 'Tm6 B6 H24'
_cell_length_a 12.2820
_cell_length_b 5.6064
_cell_length_c 4.0434
_cell_angle_alpha 90.00
_cell_angle_beta 109.13
_cell_angle_gamma 90.00
_space_group_name_H-M_alt 'C 1 2 1'
_space_group_IT_number 5
loop_
_space_group_symop_operation_xyz
'x,y,z'
'-x,y,-z'
'x+1/2,y+1/2,z'
'-x+1/2,y+1/2,-z'
loop_
_atom_site_label
_atom_site_type_symbol
_atom_site_fract_x
_atom_site_fract_y
_atom_site_fract_z
Tm1 Tm 0.0000 0.0000 0.0000
Tm2 Tm 0.1627 0.4780 0.6445
B1 B 0.0000 0.4825 0.0000
B2 B 0.1661 0.9819 0.6732
H1 H 0.0023 0.6221 0.2548
H2 H 0.0787 0.1210 0.5875
H3 H 0.0932 0.3501 0.0953
H4 H 0.1611 0.8482 0.9191
H5 H 0.1636 0.8496 0.4150
H6 H 0.2405 0.5996 0.2347


Entry 3:
# YB3H12, optimized geometry, DFT GGA-PBE
# Crystal system   cubic
# MP2020-corrected energy   -73.9 eV/f.u.
data_YB3H12
_chemical_formula_sum 'Y8 B24 H96'
_cell_length_a 10.8727
_cell_length_b 10.8727
_cell_length_c 10.8727
_cell_angle_alpha 90.00
_cell_angle_beta 90.00
_cell_angle_gamma 90.00
_space_group_name_H-M_alt 'P a -3'
_space_group_IT_number 205
_space_group_name_Hall '-P 2ac 2ab 3'
loop_
_atom_site_label
_atom_site_type_symbol
_atom_site_fract_x
_atom_site_fract_y
_atom_site_fract_z
Y1 Y 0.2169 0.2169 0.2169
B1 B 0.0328 0.6922 0.2526
H1 H 0.0234 0.2099 0.7538
H2 H 0.0336 0.1033 0.2248
H3 H 0.0813 0.6738 0.1522
H4 H 0.1070 0.7013 0.3374